Record 1
Computed, not measured: a relaxed structure of HoGaAg at the r²SCAN level of DFT.

Formation energy from the elements: -537.9 meV/atom
Calculated density: 9.21 Mg/m³
Size of the total moment: 0.000 μB per formula unit

Cell lengths 10.4162, 4.4877, 7.0972 Å; angles 90.00, 131.84, 90.00 degrees
Space group C2/m (No. 12)
Unique sites:
1 Ho 0.0341 0.0000 0.2905 x4
2 Ga 0.1581 0.5000 0.1183 x4
3 Ag 0.1732 0.5000 0.7212 x4

Record 2
Computed, not measured: a relaxed structure of Lu2GaAg at the r²SCAN level of DFT.

Formation energy from the elements: -525.5 meV/atom
Calculated density: 10.16 Mg/m³
Size of the total moment: 0.000 μB per formula unit

Cell lengths 7.0118, 7.0118, 7.0118 Å; angles 90.00, 90.00, 90.00 degrees
Space group Fm-3m (No. 225)
Unique sites:
1 Lu 0.2500 0.2500 0.2500 x8
2 Ga 0.0000 0.0000 0.0000 x4
3 Ag 0.0000 0.0000 0.5000 x4

> Look up the calculated density of the second one.

10.16 Mg/m³